Material: Ho2IrRh
Method: DFT, r²SCAN
State: relaxed

## Properties
The space group is No. 225. The density is 13340 kg/m³. As for the total moment: 0.000 μB/atom. For the formation energy, the calculation gives -999 meV per atom.

POSCAR file:
```
Ho2IrRh
1.0
0.000 3.388 3.388
3.388 0.000 3.388
3.388 3.388 0.000
Ho Ir Rh
2 1 1
direct
0.250 0.250 0.250 Ho
0.750 0.750 0.750 Ho
0.000 0.000 0.000 Ir
0.500 0.500 0.500 Rh
```